Material: Li32Mn5Cr11O48
Method: DFT, PBE with a Hubbard U
State: optimized geometry Values from VASP.

```
&SYSTEM
  ibrav = 0, nat = 96, ntyp = 4
/
ATOMIC_SPECIES
O 16.00 O.upf
Li 6.94 Li.upf
Mn 54.94 Mn.upf
Cr 52.00 Cr.upf
CELL_PARAMETERS angstrom
5.0093 0.0000 0.0000
-2.4833 4.3774 0.0000
-0.5028 -1.2116 38.3999
ATOMIC_POSITIONS angstrom
O -2.0866 3.7748 6.1105
O 2.3040 2.4926 30.1212
O 0.6650 -0.3811 34.9235
O 0.5988 2.1584 13.0713
O 2.3101 2.3882 37.0849
O 2.2700 -0.6553 30.1093
O 2.3438 -0.4742 22.6914
O -0.1186 0.7874 22.6884
O -1.1515 2.3182 3.4917
O -0.2774 0.6910 1.3144
O 2.9232 0.6561 6.1090
O -0.4429 3.5497 1.3115
O 0.7422 2.2449 27.4693
O -0.3222 3.6412 15.7054
O 1.4970 3.6746 17.8896
O -1.0249 2.4175 17.8901
O -0.8810 2.4809 32.3158
O 1.4089 0.9815 25.3090
O 1.4086 0.9267 32.2687
O 3.2275 1.0142 27.4938
O -2.0764 3.6707 13.0804
O 4.1042 -0.6495 32.2779
O -0.2704 0.6621 8.2702
O 0.6259 2.2253 6.1317
O 3.0499 0.7560 20.5074
O -1.0788 2.2385 25.3083
O 1.1627 0.7963 3.4880
O 1.4899 3.7793 10.9178
O -0.0319 0.9579 30.1221
O 2.0156 2.2826 1.3129
O 3.1419 0.8970 13.1102
O 2.1747 2.3802 22.6875
O -0.0309 0.8554 37.0736
O -0.1600 0.8033 15.7130
O 2.1626 2.4108 15.7278
O 1.3968 3.5804 3.4897
O 2.0545 2.2723 8.2877
O 0.5416 -0.5251 27.4863
O -0.2658 3.8134 8.2913
O 0.5016 -0.5075 20.5101
O 4.1175 -0.5679 25.3309
O 2.4885 -0.3746 37.0900
O 1.2731 0.8460 17.8680
O 3.1574 0.8712 34.8840
O 0.7353 2.2739 20.5116
O 0.8756 2.4289 34.9322
O -1.2445 2.1749 10.8881
O 1.2995 0.9116 10.9282
Li -0.4272 0.7646 4.7973
Li -0.3632 3.6815 4.7994
Li -0.3067 0.8676 19.2042
Li 0.7952 -0.5123 38.3887
Li 3.9857 -0.5067 28.8086
Li 1.3489 3.7673 14.4060
Li 1.5435 0.8904 28.7963
Li 0.6931 -0.5829 24.0053
Li -1.1995 2.2486 7.2009
Li -1.9415 3.6700 9.5895
Li 2.2992 -0.5435 26.4036
Li -0.9400 2.4077 35.9982
Li 2.2095 2.2077 4.8005
Li 0.7247 2.4458 38.3980
Li 3.2144 0.9508 31.2015
Li 2.9463 0.7447 2.3992
Li -0.9957 2.3565 28.8034
Li 0.4913 2.2896 9.6087
Li 3.1325 0.8824 24.0052
Li 2.9906 0.7929 9.6006
Li 2.2588 -0.5998 19.1967
Li 3.0892 0.8217 16.7978
Li 0.5846 2.3481 24.0024
Li -1.7457 1.0006 38.3920
Li -0.2944 3.7248 12.0004
Li 2.3747 -0.5158 33.6003
Li 2.3177 2.2960 19.1947
Li 1.4171 0.7951 14.4021
Li -0.1694 0.9792 33.6031
Li 2.4561 2.3736 33.5955
Li -1.0512 2.3279 21.5988
Li -1.1021 2.2843 14.4025
Mn 0.7050 2.3899 31.2003
Mn -1.9297 3.7577 16.7986
Mn 1.5736 0.9629 35.9991
Mn 1.3385 3.6922 7.2000
Mn -0.1747 0.8979 26.4008
Cr 3.9748 -0.6125 21.6037
Cr -0.3277 0.7861 11.9901
Cr 0.4805 2.1830 2.4029
Cr -2.0770 3.6832 2.3965
Cr 0.6008 2.2724 16.8039
Cr 0.7003 -0.5010 31.2051
Cr 4.0570 -0.5226 35.9947
Cr 2.2254 2.2874 12.0101
Cr 1.2905 0.7978 7.1980
Cr 2.3032 2.3831 26.3982
Cr 1.4174 0.8880 21.5975
```

## Properties
E above lowest polymorph = 0.002 eV/atom

---

Material: Li24Mn11CrO36
Method: DFT, PBE with a Hubbard U
State: optimized geometry Values from VASP.

```
&SYSTEM
  ibrav = 0, nat = 72, ntyp = 4
/
ATOMIC_SPECIES
O 16.00 O.upf
Li 6.94 Li.upf
Mn 54.94 Mn.upf
Cr 52.00 Cr.upf
CELL_PARAMETERS angstrom
-8.3733 -1.5983 1.5381
-3.4770 -7.5841 -2.3291
0.9939 -4.6631 8.4760
ATOMIC_POSITIONS angstrom
O -5.5461 -8.2914 4.4834
O -6.1002 -10.2341 6.7564
O -4.8515 -7.8768 7.4524
O -3.4312 -9.9073 6.1820
O -6.7156 -5.0999 0.7940
O -9.4803 -11.3563 4.2142
O -3.7863 -10.4104 3.1013
O -8.7686 -10.9160 7.1759
O -8.1994 -8.9685 4.8922
O -0.6870 -3.3316 2.9266
O -3.8924 -5.3746 8.2488
O -9.4249 -5.4624 1.3800
O -2.9070 -8.5245 1.2956
O -3.3620 -4.0150 3.3498
O -5.4911 -2.4184 1.6441
O -4.9894 -6.9160 -0.4208
O -7.9824 -7.4904 0.0991
O -2.1708 -7.2147 7.0306
O -0.8970 -4.8259 7.7121
O -2.7877 -2.0738 1.0620
O -5.8681 -9.0815 1.7954
O -1.5707 -5.2555 4.7500
O -6.9535 -6.2540 5.7578
O -8.4669 -2.9645 2.1821
O -6.6008 -5.7325 8.8293
O -2.5408 -7.7561 3.9566
O -7.8237 -8.4216 7.9827
O -10.6575 -8.1661 0.5244
O -4.6374 -6.3767 2.6702
O -1.9344 -6.0404 2.0816
O -6.3757 -4.5685 3.8804
O -4.2340 -5.9300 5.1792
O -6.4810 -10.7892 3.6755
O -4.0669 -4.4541 0.3843
O -8.5785 -9.4544 2.3765
O -7.3119 -7.0725 3.0506
Li -9.3420 -8.9001 6.7156
Li -8.1682 -6.3338 7.5011
Li -7.6688 -10.9009 5.4180
Li -2.3035 -4.0254 1.5689
Li -4.9374 -10.3067 4.9334
Li -6.6124 -8.2931 6.2625
Li -5.4261 -5.7946 6.9980
Li -3.9295 -1.9928 2.8770
Li -2.2220 -9.8087 4.4187
Li -3.5035 -6.4917 0.8439
Li -7.9119 -5.0170 2.6471
Li -1.7547 -9.2315 7.2324
Li -8.6237 -6.9496 4.6928
Li -4.6071 -8.9602 0.0856
Li -9.0407 -7.5070 1.8610
Li -5.1548 -4.4388 2.1421
Li -6.2557 -7.0413 1.2859
Li -4.6918 -3.8895 4.9346
Li -3.7434 -7.8522 5.7221
Li -2.6707 -5.2932 6.4994
Li -6.7606 -2.5331 3.4005
Li -7.1557 -3.0869 0.5764
Li -6.6526 -7.6081 -1.4817
Li -4.2111 -8.4106 2.8813
Mn -1.8903 -3.3727 4.4355
Mn -5.5242 -5.0814 -0.7122
Mn -3.8870 -7.0829 -2.0053
Mn -8.4631 -12.7958 7.4864
Mn -7.3046 -10.2712 8.2699
Mn -4.3725 -2.5709 0.0634
Mn -7.4778 -4.4171 5.4614
Mn -1.5807 -2.0431 -0.4431
Mn -9.7809 -9.4766 3.8931
Mn -7.0037 -8.9427 3.3712
Mn -3.0406 -5.8955 3.6725
Cr -5.8250 -6.4376 4.1560
```

---

Material: Li8Mn3CrO12
Method: DFT, PBE with a Hubbard U
State: optimized geometry Values from VASP.

```
&SYSTEM
  ibrav = 0, nat = 24, ntyp = 4
/
ATOMIC_SPECIES
Cr 52.00 Cr.upf
O 16.00 O.upf
Li 6.94 Li.upf
Mn 54.94 Mn.upf
CELL_PARAMETERS angstrom
-2.4556 -3.7682 -2.0222
0.6007 -2.6394 4.1528
-7.2540 3.0500 3.0363
ATOMIC_POSITIONS angstrom
Cr -3.1457 -3.4359 -1.7010
O -6.9318 -0.7987 2.0194
O -2.1111 -2.8793 -0.2318
O -7.0683 1.6185 3.3678
O -8.2946 -2.3208 4.4017
O -5.8943 -0.9929 4.7062
O -3.5144 -4.4347 2.1558
O -0.9231 -3.0539 2.8448
O -4.4855 0.3680 2.5986
O -4.6189 -1.9778 1.1263
O -5.8153 -3.2239 3.0710
O -2.0995 -0.4476 1.5445
O -3.5038 -1.8061 3.6275
Li -0.2850 -1.0917 2.3186
Li -7.6716 -0.3635 3.8885
Li -2.5482 -1.3214 5.4665
Li -7.2672 -4.1287 4.3953
Li -7.7358 -2.7381 2.3960
Li -3.1832 -1.0441 -0.1790
Li -5.4622 -0.1057 0.7618
Li -2.6863 -2.4573 1.8073
Mn -7.2679 -1.7141 5.9099
Mn -5.2546 -1.3896 2.8752
Mn -2.7419 -0.0460 3.3355
```

## Properties
piezoelectric modulus e_max = 0.938 C/m²

---

Material: Li24Mn11CrO36
Method: DFT, PBE with a Hubbard U
State: optimized geometry Values from VASP.

```
&SYSTEM
  ibrav = 0, nat = 72, ntyp = 4
/
ATOMIC_SPECIES
O 16.00 O.upf
Mn 54.94 Mn.upf
Li 6.94 Li.upf
Cr 52.00 Cr.upf
CELL_PARAMETERS angstrom
4.3227 7.5132 0.0000
-4.3227 7.5132 0.0000
0.0000 6.6293 9.5973
ATOMIC_POSITIONS angstrom
O 1.3230 5.9123 1.0758
O 0.0969 16.7279 5.8697
O 1.3361 10.8978 1.0762
O -1.4470 7.6165 3.7022
O 1.3271 9.1817 5.8951
O 0.1271 11.7375 5.8639
O 0.0969 4.9277 3.7276
O 0.0964 13.2590 8.5209
O 2.8700 8.2149 1.0949
O 0.0940 3.3932 1.0803
O 0.0889 6.6973 5.8820
O 1.3233 14.2286 5.8645
O 0.0940 18.2624 8.5170
O 0.0964 8.3966 1.0764
O -2.9801 9.9377 3.7237
O -1.4537 10.9262 8.5091
O -1.4534 5.7203 1.0842
O -2.9954 13.2546 8.5154
O -1.4476 12.6219 3.6927
O 2.8700 13.4407 8.5024
O -1.4537 10.7294 1.0883
O -1.4470 14.0391 5.8951
O 1.3233 7.4271 3.7328
O 2.8858 10.1288 3.6998
O 1.3271 12.4739 3.7022
O -2.9801 11.7180 5.8736
O 0.0894 8.2334 8.5334
O 0.0889 14.9583 3.7153
O 0.0894 13.4222 1.0639
O -1.4476 9.0337 5.9046
O 0.1271 9.9181 3.7334
O 2.8858 11.5268 5.8975
O -1.4534 15.9353 8.5131
O 1.3361 10.7578 8.5211
O -2.9954 8.4010 1.0820
O 1.3230 15.7433 8.5215
Mn 1.4274 7.5132 0.0000
Mn -0.0055 11.6474 9.5966
Mn -0.0055 10.0082 0.0007
Mn 1.4269 19.1569 9.5876
Mn 4.3175 7.5132 0.0000
Mn 1.4275 5.8161 4.8031
Mn 1.4269 2.4988 0.0097
Mn -0.0022 13.3484 4.7744
Mn -0.0022 8.3072 4.8230
Mn 1.4275 15.8395 4.7942
Mn 4.3201 10.8278 4.7987
Li -1.4446 15.8310 4.8195
Li -2.8453 11.6673 2.4081
Li -1.4452 7.5132 0.0000
Li -0.0344 9.9734 7.2069
Li 2.8694 16.6271 9.5941
Li 2.8503 14.9833 7.1820
Li 2.8503 6.6723 2.4153
Li 1.4958 12.4849 7.2154
Li 4.2650 12.5014 7.1743
Li -1.4375 4.1566 2.3980
Li -2.8466 15.0046 7.2122
Li -0.0344 11.6822 2.3904
Li -1.4682 10.8278 4.7987
Li -1.4329 12.5004 7.2143
Li -0.0400 6.6936 2.4024
Li -2.8453 9.9883 7.1892
Li 1.4958 9.1707 2.3819
Li -1.4375 17.4990 7.1993
Li -1.4446 5.8246 4.7778
Li -0.0400 14.9620 7.1949
Li -1.4329 9.1552 2.3830
Li 2.8694 5.0285 0.0033
Li -2.8466 6.6510 2.3851
Li 4.2650 9.1542 2.4230
Cr 1.4001 10.8278 4.7987
```

---

Material: LiMnCrO4
Method: DFT, PBE with a Hubbard U
State: optimized geometry Values from VASP.

```
&SYSTEM
  ibrav = 0, nat = 14, ntyp = 4
/
ATOMIC_SPECIES
O 16.00 O.upf
Mn 54.94 Mn.upf
Cr 52.00 Cr.upf
Li 6.94 Li.upf
CELL_PARAMETERS angstrom
-0.6095 -2.0731 5.5083
2.9594 4.6855 2.0733
-4.8136 0.7263 -3.3633
ATOMIC_POSITIONS angstrom
O -0.5324 3.2962 1.2642
O -2.6622 3.6562 -0.2597
O -1.9314 0.0424 2.9540
O -2.8929 2.7100 2.1979
O -0.6495 2.1573 3.8880
O 0.1985 -0.3175 4.4779
O -1.8143 1.1814 0.3302
O 0.4292 0.6287 2.0204
Mn -1.2319 1.6693 2.1091
Mn -0.3048 -1.0365 2.7541
Cr 1.1749 1.3062 3.7908
Cr -0.9271 2.7059 -0.6450
Li -3.7884 -0.7000 2.5087
Li 1.3247 4.0387 1.7095
```

---

Material: Li4MnCrO6
Method: DFT, PBE with a Hubbard U
State: optimized geometry Values from VASP.

```
&SYSTEM
  ibrav = 0, nat = 48, ntyp = 4
/
ATOMIC_SPECIES
Li 6.94 Li.upf
O 16.00 O.upf
Cr 52.00 Cr.upf
Mn 54.94 Mn.upf
CELL_PARAMETERS angstrom
1.2783 -3.1932 -3.6362
2.3426 -0.2320 4.4171
-11.8043 -13.7498 6.6157
ATOMIC_POSITIONS angstrom
Li -1.1304 -7.7838 4.1691
Li -3.1114 -6.5390 2.4886
Li -4.8137 -9.8716 6.9273
Li 0.5340 -4.4607 -0.4161
Li -1.0342 -2.2863 0.6421
Li -7.2261 -15.1026 6.1729
Li -9.1728 -13.9812 4.3673
Li -3.9604 -8.2222 4.6918
Li -1.9146 -3.9331 2.8365
Li 0.9195 -3.4878 2.3217
Li -5.1470 -10.8446 4.3407
Li -6.0080 -12.5164 6.5335
Li -8.8368 -12.9467 7.0890
Li -6.7876 -8.6527 5.2362
Li -2.7595 -5.6054 5.0872
Li 1.4142 -2.8151 -2.6080
O -8.6080 -14.8597 7.7598
O 2.1836 -3.6771 0.5448
O -2.7810 -8.6327 3.0400
O 0.2348 -2.4098 -0.9637
O -7.1903 -12.0619 8.2232
O -8.8353 -15.9256 5.2046
O -10.4860 -13.8289 5.9519
O -4.5146 -6.2699 4.0663
O -3.8663 -10.9598 2.7358
O -4.8259 -12.9220 4.8850
O -4.7310 -7.3669 1.5290
O -0.7357 -4.3368 1.1899
O -7.7877 -14.2260 2.7791
O -6.7770 -11.6581 3.3815
O -1.3569 -5.8688 3.5027
O -5.5175 -8.8624 3.4861
O -3.4731 -4.5747 1.6369
O -3.4018 -10.1624 5.3505
O 0.6902 -1.5763 1.6468
O -7.5628 -13.1585 5.3358
O -0.3424 -3.3026 4.0975
O -1.8194 -6.6658 0.8906
O -1.1939 -5.1698 -1.4222
O -6.5594 -10.5627 5.9161
Cr -0.2824 -6.1441 1.8700
Cr 2.1255 -0.8361 2.7742
Cr -3.6078 -7.2412 7.3598
Cr -7.9988 -11.3030 4.7867
Mn 1.7653 -1.8382 0.0489
Mn -4.3126 -9.2020 2.0271
Mn -2.2670 -4.9096 0.1785
Mn -6.3582 -13.4944 3.8757
```

## Properties
E above lowest polymorph = 0.038 eV/atom

---

Material: Li5Mn3Cr2O10
Method: DFT, PBE with a Hubbard U
State: optimized geometry Values from VASP.

```
&SYSTEM
  ibrav = 0, nat = 20, ntyp = 4
/
ATOMIC_SPECIES
O 16.00 O.upf
Li 6.94 Li.upf
Mn 54.94 Mn.upf
Cr 52.00 Cr.upf
CELL_PARAMETERS angstrom
5.2012 0.0000 0.0000
-0.8736 5.1375 0.0000
-2.4217 -2.2731 7.0354
ATOMIC_POSITIONS angstrom
O 0.2399 2.1951 5.4144
O 1.7160 3.4306 3.1651
O -0.6891 2.0446 2.3650
O 1.6796 0.6479 1.6212
O 1.1198 -0.5294 6.7510
O 2.6102 0.8003 4.6722
O 0.2064 -0.5689 3.8718
O 3.5936 4.4172 1.0135
O 0.8061 3.3686 0.2878
O -1.6673 -1.5777 6.0138
Li 2.6958 2.6264 1.5778
Li 3.6298 0.1369 2.9669
Li -0.7666 0.2435 5.4758
Li -1.7161 2.8055 4.1004
Li 0.9628 1.4241 3.5178
Mn 0.0345 1.3155 0.7380
Mn 1.7366 5.1255 0.0024
Mn 1.8896 1.5269 6.2960
Cr 1.8657 -1.0652 4.8795
Cr 0.0546 3.9125 2.1576
```

---

Material: Li2MnCrO4
Method: DFT, PBE with a Hubbard U
State: optimized geometry Values from VASP.

```
&SYSTEM
  ibrav = 0, nat = 16, ntyp = 4
/
ATOMIC_SPECIES
Li 6.94 Li.upf
O 16.00 O.upf
Cr 52.00 Cr.upf
Mn 54.94 Mn.upf
CELL_PARAMETERS angstrom
0.6705 -1.8370 3.6224
7.1061 1.3039 -2.9931
-1.0128 5.0987 0.4340
ATOMIC_POSITIONS angstrom
Li 2.0302 0.2006 2.0649
Li 1.8630 4.7137 -0.2937
Li 4.7433 4.3562 -1.0080
Li 6.2577 1.9085 -0.1905
O -0.5955 4.0828 2.1806
O 5.0649 3.5684 0.8720
O 3.7995 1.2525 2.2709
O 4.5043 0.8415 -0.4070
O 5.9990 2.7248 -2.0676
O 2.2699 3.6992 1.4558
O 1.5332 1.2102 0.3298
O 0.7373 1.8747 3.1532
Cr 4.9053 -0.1655 1.3471
Cr 0.5043 2.6683 1.2597
Mn 3.4021 2.2663 0.5196
Mn 7.0918 1.3227 -2.9810
```

## Properties
E above lowest polymorph = 0.020 eV/atom

---

Material: Li2Mn2CrO6
Method: DFT, PBE with a Hubbard U
State: optimized geometry Values from VASP.

```
&SYSTEM
  ibrav = 0, nat = 22, ntyp = 4
/
ATOMIC_SPECIES
Li 6.94 Li.upf
O 16.00 O.upf
Cr 52.00 Cr.upf
Mn 54.94 Mn.upf
CELL_PARAMETERS angstrom
-2.5071 4.4611 0.0004
0.0010 0.0014 10.2589
5.1170 0.0744 0.0005
ATOMIC_POSITIONS angstrom
Li -0.2514 3.9699 2.5666
Li 2.8990 0.6278 7.6952
Li 3.5263 1.7160 2.5649
Li -0.9466 2.7606 7.6936
O 3.0088 2.1044 6.2603
O -1.6332 2.9272 1.0290
O 2.1657 3.8052 4.1522
O 0.8934 1.5124 0.9783
O 3.4134 0.2392 1.1307
O 4.1177 1.4631 9.1288
O -0.7422 4.4744 9.2297
O 0.4114 0.7555 6.1079
O -0.4586 2.2573 4.0995
O 1.7500 3.0008 9.2810
O 0.4302 3.8019 6.1600
O 2.3055 0.8814 3.9995
Cr 5.1025 0.0820 10.2587
Cr 1.3202 2.2624 5.1294
Mn 3.8548 0.8026 5.1309
Mn 2.5664 1.5402 0.0009
Mn 0.0746 2.9740 0.0008
Mn -1.2769 3.7547 5.1303
```

## Properties
E above lowest polymorph = 0.002 eV/atom

---

Formation energy across the listed records, respectively: -2.21 -2.18 -2.11 -2.18 -2.23 -2.21 -2.22 -2.25 -2.12 eV per atom.
M_tot across the listed records, respectively: 37.01 35.00 11.00 35.00 12.00 20.00 18.01 8.00 19.99 μB per cell.